1.
An optimized crystal structure of SrCo2P2. Source: the Materials Project, functional PBE-GGA.

abc: 3.7893 3.7893 11.6043
angles: 90.00 90.00 90.00
Closest atoms and distances in Å follow each position.
Space group I4/mmm (No. 139)
Asymmetric unit:
Sr  0.0000  0.0000  0.0000  8 P 3.20, 8 Co 3.46
Co  0.0000  0.5000  0.2500  4 P 2.22
P  0.0000  0.0000  0.3489  4 Co 2.22

2.
An optimized crystal structure of TaCoP. Source: the Materials Project, functional PBE-GGA.

abc: 6.1257 3.6075 6.9550
angles: 90.00 90.00 90.00
Closest atoms and distances in Å follow each position.
Space group Pnma (No. 62)
Asymmetric unit:
Ta  0.0262  0.2500  0.1729  5 P 2.56-2.62, 6 Co 2.79-2.83
Co  0.1484  0.2500  0.5626  4 P 2.26-2.34
P  0.2221  0.7500  0.3787  4 Co 2.26-2.34

3.
An optimized crystal structure of Tb5Co19P12. Source: the Materials Project, functional PBE-GGA.

abc: 11.9872 11.9872 3.6757
angles: 90.00 90.00 120.00
Closest atoms and distances in Å follow each position.
Space group P-62m (No. 189)
Asymmetric unit:
Tb  0.0000  0.1877  0.0000  6 P 2.84-2.88, 10 Co 2.91-3.09
Tb  0.3333  0.6667  0.5000  6 P 2.82, 9 Co 2.99-3.00
Co  0.0000  0.0000  0.5000  3 P 2.17
Co  0.0000  0.5526  0.5000  1 P 2.20
Co  0.0000  0.7148  0.0000  4 P 2.18-2.22
Co  0.1252  0.4837  0.0000  4 P 2.22-2.34
Co  0.1777  0.7996  0.5000  4 P 2.25-2.35
P  0.0000  0.3688  0.5000  7 Co 2.20-2.35
P  0.0000  0.8188  0.5000  5 Co 2.17-2.25
P  0.1655  0.6859  0.0000  5 Co 2.18-2.29

4.
An optimized crystal structure of TbCo5P3. Source: the Materials Project, functional PBE-GGA.

abc: 11.7306 3.6538 10.2762
angles: 90.00 90.00 90.00
Closest atoms and distances in Å follow each position.
Space group Pnma (No. 62)
Asymmetric unit:
Tb  0.2032  0.2500  0.0832  6 P 2.79-2.86, 9 Co 2.90-3.11
Co  0.0105  0.7500  0.7153  1 P 2.20
Co  0.0120  0.7500  0.0937  4 P 2.29-2.31, 1 Co 2.56
Co  0.0676  0.7500  0.4670  4 P 2.14-2.23
Co  0.1759  0.2500  0.7793  4 P 2.17-2.33
Co  0.1977  0.2500  0.3824  4 P 2.28-2.29, 2 Co 2.53
P  0.1086  0.7500  0.8979  7 Co 2.20-2.33
P  0.1119  0.2500  0.5814  5 Co 2.16-2.28
P  0.1303  0.7500  0.2712  5 Co 2.14-2.29

no.,ΔH_f (0 K) (eV per atom)
1,-0.834
2,-0.824
3,-0.885
4,-0.839